Entry 1:
VASP calculation (GGA-PBE) on crystalline Ho2Ru2O7 at its relaxed geometry.

Values from the calculation:
* DFT formation energy: -2.596 eV per atom
* magnetization: 1.07 μB/f.u.
* SG: Fd-3m

a = 7.2220 Å, b = 7.2220 Å, c = 7.2220 Å
α = 60.00°, β = 60.00°, γ = 60.00°
Atoms (fractional coordinates):
Ho1 0.0000 0.0000 0.0000
Ho2 0.0000 0.0000 0.5000
Ho3 0.0000 0.5000 0.0000
Ho4 0.5000 0.0000 0.0000
Ru1 0.0000 0.5000 0.5000
Ru2 0.5000 0.0000 0.5000
Ru3 0.5000 0.5000 0.0000
Ru4 0.5000 0.5000 0.5000
O1 0.1250 0.1250 0.1250
O2 0.1616 0.1616 0.5884
O3 0.1616 0.5884 0.1616
O4 0.1616 0.5884 0.5884
O5 0.4116 0.4116 0.8384
O6 0.4116 0.8384 0.4116
O7 0.4116 0.8384 0.8384
O8 0.5884 0.1616 0.1616
O9 0.5884 0.1616 0.5884
O10 0.5884 0.5884 0.1616
O11 0.8384 0.4116 0.4116
O12 0.8384 0.4116 0.8384
O13 0.8384 0.8384 0.4116
O14 0.8750 0.8750 0.8750

***

Entry 2:
VASP calculation (GGA-PBE) on crystalline Ho2S3O12 at its relaxed geometry.

Values from the calculation:
* DFT formation energy: -2.667 eV per atom
* magnetization: 0.00 μB/f.u.
* SG: Pbcn

a = 12.8941 Å, b = 9.2693 Å, c = 9.3612 Å
α = 90.00°, β = 90.00°, γ = 90.00°
Atoms (fractional coordinates):
Ho1 0.1173 0.2494 0.0372
Ho2 0.1173 0.7506 0.5372
Ho3 0.3827 0.2506 0.5372
Ho4 0.3827 0.7494 0.0372
Ho5 0.6173 0.2506 0.9628
Ho6 0.6173 0.7494 0.4628
Ho7 0.8827 0.2494 0.4628
Ho8 0.8827 0.7506 0.9628
S1 0.0000 0.0354 0.7500
S2 0.0000 0.9646 0.2500
S3 0.1462 0.3936 0.3888
S4 0.1462 0.6064 0.8888
S5 0.3538 0.1064 0.8888
S6 0.3538 0.8936 0.3888
S7 0.5000 0.4646 0.2500
S8 0.5000 0.5354 0.7500
S9 0.6462 0.1064 0.6112
S10 0.6462 0.8936 0.1112
S11 0.8538 0.3936 0.1112
S12 0.8538 0.6064 0.6112
O1 0.0418 0.3367 0.4237
O2 0.0418 0.6633 0.9237
O3 0.0596 0.1281 0.8491
O4 0.0596 0.8719 0.3491
O5 0.0737 0.0562 0.1690
O6 0.0737 0.9438 0.6690
O7 0.1476 0.4476 0.9064
O8 0.1476 0.5524 0.4064
O9 0.1728 0.3578 0.2388
O10 0.1728 0.6422 0.7388
O11 0.2229 0.3276 0.4871
O12 0.2229 0.6724 0.9871
O13 0.2771 0.1724 0.9871
O14 0.2771 0.8276 0.4871
O15 0.3272 0.1422 0.7388
O16 0.3272 0.8578 0.2388
O17 0.3524 0.0524 0.4064
O18 0.3524 0.9476 0.9064
O19 0.4263 0.4438 0.6690
O20 0.4263 0.5562 0.1690
O21 0.4404 0.3719 0.3491
O22 0.4404 0.6281 0.8491
O23 0.4582 0.1633 0.9237
O24 0.4582 0.8367 0.4237
O25 0.5418 0.1633 0.5763
O26 0.5418 0.8367 0.0763
O27 0.5596 0.3719 0.1509
O28 0.5596 0.6281 0.6509
O29 0.5737 0.4438 0.8310
O30 0.5737 0.5562 0.3310
O31 0.6476 0.0524 0.0936
O32 0.6476 0.9476 0.5936
O33 0.6728 0.1422 0.7612
O34 0.6728 0.8578 0.2612
O35 0.7229 0.1724 0.5129
O36 0.7229 0.8276 0.0129
O37 0.7771 0.3276 0.0129
O38 0.7771 0.6724 0.5129
O39 0.8272 0.3578 0.2612
O40 0.8272 0.6422 0.7612
O41 0.8524 0.4476 0.5936
O42 0.8524 0.5524 0.0936
O43 0.9263 0.0562 0.3310
O44 0.9263 0.9438 0.8310
O45 0.9404 0.1281 0.6509
O46 0.9404 0.8719 0.1509
O47 0.9582 0.3367 0.0763
O48 0.9582 0.6633 0.5763